Entry 1:
Computed, not measured: crystalline Sr3Ir3N5 at its relaxed geometry at the PBE level of DFT.

a = 6.5528 Å, b = 7.7146 Å, c = 8.0538 Å
α = 70.87°, β = 70.97°, γ = 81.83°
Positions (direct):
Sr 0.0278 0.1934 0.2821
Sr 0.2959 0.6210 0.3773
Sr 0.3727 0.9071 0.8986
Sr 0.6273 0.0929 0.1014
Sr 0.7041 0.3790 0.6227
Sr 0.9722 0.8066 0.7179
Ir 0.1292 0.2957 0.7819
Ir 0.3117 0.4965 0.9212
Ir 0.3971 0.1593 0.4909
Ir 0.6029 0.8407 0.5091
Ir 0.6883 0.5035 0.0788
Ir 0.8708 0.7043 0.2181
N 0.1071 0.2764 0.5529
N 0.1431 0.6038 0.1000
N 0.3235 0.9673 0.4096
N 0.3354 0.2326 0.9411
N 0.3823 0.6485 0.6672
N 0.6177 0.3515 0.3328
N 0.6646 0.7674 0.0589
N 0.6765 0.0327 0.5904
N 0.8569 0.3962 0.9000
N 0.8929 0.7236 0.4471

Space-group type: P-1, No. 2
Formation energy from the elements: -337.6 meV/atom
Total magnetic moment: 0.0 μB per cell

=====

Entry 2:
Computed, not measured: crystalline Li6Zn3P4S16 at its relaxed geometry at the PBE level of DFT.

a = 9.2716 Å, b = 11.6179 Å, c = 23.1977 Å
α = 89.94°, β = 89.97°, γ = 89.93°
Positions (direct):
Li 0.0000 0.0000 0.0000
Li 0.0000 0.0018 0.4979
Li 0.0009 0.0005 0.7466
Li 0.0024 0.5037 0.4975
Li 0.0033 0.5053 0.9989
Li 0.0039 0.0011 0.2496
Li 0.0078 0.2550 0.8729
Li 0.0149 0.4999 0.7507
Li 0.2479 0.0027 0.8786
Li 0.4843 0.5024 0.7488
Li 0.4851 0.2533 0.8746
Li 0.4960 0.7534 0.6210
Li 0.4975 0.2537 0.6225
Li 0.4969 0.7463 0.8758
Li 0.4976 0.2504 0.1258
Li 0.5001 0.9991 0.0014
Li 0.5008 0.7524 0.3732
Li 0.5018 0.2528 0.3735
Li 0.5035 0.7513 0.1241
Li 0.7457 0.2614 0.7528
Li 0.7498 0.2474 0.9955
Li 0.7523 0.7448 0.7571
Li 0.9994 0.5025 0.2485
Li 0.9993 0.7505 0.8763
Zn 0.9996 0.7528 0.1229
Zn 0.0063 0.2494 0.1249
Zn 0.0062 0.7519 0.6240
Zn 0.0069 0.2526 0.6222
Zn 0.4918 0.5035 0.9981
Zn 0.4932 0.0040 0.7485
Zn 0.4988 0.0009 0.4976
Zn 0.4990 0.5014 0.2484
Zn 0.4997 0.0011 0.2487
Zn 0.5004 0.5018 0.4988
Zn 0.9985 0.2514 0.3735
Zn 0.9990 0.7508 0.3730
P 0.2467 0.2557 0.9979
P 0.2476 0.7519 0.7459
P 0.2503 0.2521 0.2495
P 0.2503 0.2521 0.4981
P 0.2497 0.7512 0.2489
P 0.2497 0.7525 0.4982
P 0.2512 0.2429 0.7495
P 0.2525 0.7563 0.0022
P 0.7459 0.9998 0.8723
P 0.7472 0.5010 0.1232
P 0.7493 0.0008 0.6240
P 0.7497 0.0019 0.3739
P 0.7495 0.5020 0.3738
P 0.7512 0.4976 0.6242
P 0.7510 0.5040 0.8737
P 0.7538 0.0078 0.1250
S 0.1270 0.1396 0.8015
S 0.1283 0.3587 0.9464
S 0.1299 0.6490 0.0543
S 0.1312 0.6537 0.8007
S 0.1324 0.8573 0.9467
S 0.1327 0.3489 0.6947
S 0.1332 0.8546 0.1939
S 0.1329 0.8613 0.6916
S 0.1339 0.8554 0.4425
S 0.1348 0.1480 0.0540
S 0.1346 0.3555 0.4427
S 0.1360 0.1480 0.3054
S 0.1361 0.6464 0.3049
S 0.1363 0.6477 0.5539
S 0.1375 0.1460 0.5536
S 0.1373 0.3571 0.1938
S 0.3584 0.6418 0.9477
S 0.3624 0.3641 0.5506
S 0.3617 0.8653 0.5502
S 0.3625 0.1397 0.1975
S 0.3642 0.3525 0.7994
S 0.3640 0.8628 0.3010
S 0.3646 0.6404 0.1968
S 0.3660 0.1379 0.6934
S 0.3655 0.3632 0.3014
S 0.3663 0.6415 0.4468
S 0.3665 0.1417 0.4462
S 0.3678 0.8626 0.8004
S 0.3688 0.1444 0.9483
S 0.3696 0.8587 0.0541
S 0.3718 0.3588 0.0510
S 0.3730 0.6519 0.6952
S 0.6204 0.9014 0.9230
S 0.6225 0.6031 0.8206
S 0.6240 0.3966 0.9270
S 0.6253 0.1107 0.8175
S 0.6299 0.3977 0.6781
S 0.6320 0.1034 0.5693
S 0.6317 0.8964 0.6798
S 0.6338 0.1054 0.3187
S 0.6342 0.1101 0.0709
S 0.6352 0.3965 0.1794
S 0.6347 0.6042 0.0672
S 0.6346 0.6054 0.3180
S 0.6358 0.3977 0.4299
S 0.6373 0.6035 0.5692
S 0.6366 0.8968 0.4299
S 0.6370 0.9019 0.1794
S 0.8634 0.1135 0.4262
S 0.8634 0.6137 0.4258
S 0.8641 0.3908 0.3218
S 0.8641 0.6110 0.1746
S 0.8643 0.8909 0.3218
S 0.8641 0.8942 0.0727
S 0.8653 0.6062 0.9263
S 0.8655 0.8910 0.5726
S 0.8676 0.1136 0.6752
S 0.8684 0.3952 0.8211
S 0.8704 0.3897 0.0720
S 0.8706 0.1068 0.9226
S 0.8714 0.1143 0.1784
S 0.8719 0.3925 0.5714
S 0.8721 0.8971 0.8202
S 0.8727 0.6092 0.6763

ΔE to the lowest computed polymorph: 3.4 meV per atom
Space-group type: P1, No. 1
Formation energy from the elements: -1002.4 meV/atom
Total magnetic moment: 0.0 μB per cell

=====

Entry 3:
Computed, not measured: crystalline Mg5Au at its relaxed geometry at the PBE level of DFT.

a = 5.8389 Å, b = 5.8389 Å, c = 5.8389 Å
α = 54.73°, β = 54.73°, γ = 54.73°
Positions (direct):
Mg 0.0000 0.6551 0.3449
Mg 0.1649 0.1649 0.1649
Mg 0.3449 0.0000 0.6551
Mg 0.6551 0.3449 0.0000
Mg 0.8351 0.8351 0.8351
Au 0.5000 0.5000 0.5000

Space-group type: R32, No. 155
Formation energy from the elements: -203.5 meV/atom
Total magnetic moment: 0.0 μB per cell

=====

Entry 4:
Computed, not measured: crystalline CdSeO4 at its relaxed geometry at the PBE level of DFT.

a = 6.8205 Å, b = 4.9679 Å, c = 5.0203 Å
α = 90.00°, β = 90.00°, γ = 90.00°
Positions (direct):
Cd 0.0000 0.1335 0.0000
Cd 0.5000 0.8665 0.5000
Se 0.0000 0.6609 0.4737
Se 0.5000 0.3391 0.9737
O 0.0000 0.3314 0.4099
O 0.0000 0.6999 0.8038
O 0.1936 0.8130 0.3270
O 0.3064 0.1870 0.8270
O 0.5000 0.3001 0.3038
O 0.5000 0.6686 0.9099
O 0.6936 0.1870 0.8270
O 0.8064 0.8130 0.3270

Maximum piezoelectric response: 1.455 C/m²
Space-group type: Pmn2_1, No. 31
Formation energy from the elements: -1295.6 meV/atom
Total magnetic moment: 0.0 μB per cell

=====

Entry 5:
Computed, not measured: crystalline CuSb2O6 at its relaxed geometry at the PBE level of DFT.

a = 4.7304 Å, b = 4.7304 Å, c = 9.4071 Å
α = 90.00°, β = 90.00°, γ = 90.00°
Positions (direct):
Cu 0.0000 0.0000 0.0000
Cu 0.5000 0.5000 0.5000
Sb 0.0000 0.0000 0.3323
Sb 0.0000 0.0000 0.6677
Sb 0.5000 0.5000 0.1677
Sb 0.5000 0.5000 0.8323
O 0.1906 0.1906 0.5000
O 0.1971 0.1971 0.1713
O 0.1971 0.1971 0.8287
O 0.3029 0.6971 0.3287
O 0.3029 0.6971 0.6713
O 0.3094 0.6906 0.0000
O 0.6906 0.3094 0.0000
O 0.6971 0.3029 0.3287
O 0.6971 0.3029 0.6713
O 0.8029 0.8029 0.1713
O 0.8029 0.8029 0.8287
O 0.8094 0.8094 0.5000

ΔE to the lowest computed polymorph: 0.0 meV per atom
Space-group type: P4_2/mnm, No. 136
Formation energy from the elements: -1639.4 meV/atom

=====

Entry 6:
Computed, not measured: crystalline BaLaZnRuO6 at its relaxed geometry at the PBE level of DFT.

a = 5.6947 Å, b = 5.7174 Å, c = 5.7208 Å
α = 90.43°, β = 119.35°, γ = 119.75°
Positions (direct):
Ba 0.0000 0.0000 0.0000
La 0.9833 0.4995 0.4856
Zn 0.4934 0.2507 0.7490
Ru 0.5004 0.7500 0.2518
O 0.0184 0.5364 0.0559
O 0.4106 0.5106 0.9179
O 0.5135 0.4737 0.4602
O 0.5481 0.9905 0.5388
O 0.5512 0.0551 0.0727
O 0.9864 0.9290 0.4716

Maximum piezoelectric response: 1.554 C/m²
Space-group type: P1, No. 1
Formation energy from the elements: -2470.1 meV/atom
Total magnetic moment: 3.0 μB per cell

=====

Entry 7:
Computed, not measured: crystalline LaMgMoS4 at its relaxed geometry at the PBE level of DFT.

a = 7.7999 Å, b = 7.7999 Å, c = 7.7999 Å
α = 120.81°, β = 118.59°, γ = 90.53°
Positions (direct):
La 0.0000 0.0000 0.0000
La 0.5000 0.0000 0.5000
Mg 0.3738 0.6238 0.7500
Mg 0.6262 0.3762 0.2500
Mo 0.0000 0.0000 0.5000
Mo 0.0000 0.5000 0.0000
S 0.2067 0.7397 0.4670
S 0.2272 0.2603 0.9670
S 0.2298 0.2374 0.5075
S 0.2298 0.7223 0.9925
S 0.7702 0.2777 0.0075
S 0.7702 0.7626 0.4925
S 0.7728 0.7397 0.0330
S 0.7933 0.2603 0.5330

Space-group type: Imma, No. 74
Formation energy from the elements: -1465.8 meV/atom
Total magnetic moment: 6.0 μB per cell

=====

Entry 8:
Computed, not measured: crystalline Ba2LaI7 at its relaxed geometry at the PBE level of DFT.

a = 10.3479 Å, b = 10.3479 Å, c = 11.7341 Å
α = 119.24°, β = 119.24°, γ = 53.36°
Positions (direct):
Ba 0.1929 0.2046 0.3067
Ba 0.2046 0.1929 0.8067
Ba 0.7954 0.8071 0.1933
Ba 0.8071 0.7954 0.6933
La 0.4866 0.5134 0.2500
La 0.5134 0.4866 0.7500
I 0.1192 0.8808 0.2500
I 0.1230 0.6178 0.5381
I 0.1808 0.4258 0.1475
I 0.2555 0.5686 0.9210
I 0.3822 0.8770 0.9619
I 0.4258 0.1808 0.6475
I 0.4314 0.7445 0.5790
I 0.5686 0.2555 0.4210
I 0.5742 0.8192 0.3525
I 0.6178 0.1230 0.0381
I 0.7445 0.4314 0.0790
I 0.8192 0.5742 0.8525
I 0.8770 0.3822 0.4619
I 0.8808 0.1192 0.7500

ΔE to the lowest computed polymorph: 38.6 meV per atom
Space-group type: C2/c, No. 15
Formation energy from the elements: -1898.8 meV/atom
Total magnetic moment: 0.0 μB per cell

=====

Entry 9:
Computed, not measured: crystalline Zn2PO5 at its relaxed geometry at the PBE level of DFT.

a = 5.5993 Å, b = 5.7603 Å, c = 6.5626 Å
α = 76.42°, β = 77.77°, γ = 87.18°
Positions (direct):
Zn 0.0329 0.2397 0.3102
Zn 0.3875 0.7432 0.0087
Zn 0.6125 0.2568 0.9913
Zn 0.9671 0.7603 0.6898
P 0.1653 0.2507 0.7727
P 0.8347 0.7493 0.2273
O 0.0316 0.7528 0.0153
O 0.0613 0.1121 0.6320
O 0.2196 0.5107 0.6515
O 0.3588 0.3926 0.1886
O 0.3973 0.1184 0.8361
O 0.6027 0.8816 0.1639
O 0.6412 0.6074 0.8114
O 0.7804 0.4893 0.3485
O 0.9387 0.8879 0.3680
O 0.9684 0.2472 0.9847

Space-group type: P-1, No. 2
Formation energy from the elements: -2022.4 meV/atom
Total magnetic moment: 2.0 μB per cell

=====

Entry 10:
Computed, not measured: crystalline Dy2NiAs2 at its relaxed geometry at the PBE level of DFT.

a = 4.0930 Å, b = 4.0930 Å, c = 14.3359 Å
α = 90.00°, β = 90.00°, γ = 120.00°
Positions (direct):
Dy 0.3333 0.6667 0.1171
Dy 0.3333 0.6667 0.3829
Dy 0.6667 0.3333 0.6171
Dy 0.6667 0.3333 0.8829
Ni 0.0000 0.0000 0.2500
Ni 0.0000 0.0000 0.7500
As 0.0000 0.0000 0.0000
As 0.0000 0.0000 0.5000
As 0.3333 0.6667 0.7500
As 0.6667 0.3333 0.2500

ΔE to the lowest computed polymorph: 0.0 meV per atom
Space-group type: P6_3/mmc, No. 194
Formation energy from the elements: -1242.0 meV/atom

=====

Entry 11:
Computed, not measured: crystalline Ti4WC5 at its relaxed geometry at the PBE level of DFT.

a = 12.7063 Å, b = 12.7063 Å, c = 12.7063 Å
α = 13.86°, β = 13.86°, γ = 13.86°
Positions (direct):
Ti 0.0993 0.0993 0.0993
Ti 0.3003 0.3003 0.3003
Ti 0.6997 0.6997 0.6997
Ti 0.9007 0.9007 0.9007
W 0.5000 0.5000 0.5000
C 0.0000 0.0000 0.0000
C 0.2001 0.2001 0.2001
C 0.4000 0.4000 0.4000
C 0.6000 0.6000 0.6000
C 0.7999 0.7999 0.7999

Space-group type: R-3m, No. 166
Formation energy from the elements: -652.9 meV/atom
Total magnetic moment: 0.0 μB per cell

=====

Entry 12:
Computed, not measured: crystalline MoWS4 at its relaxed geometry at the PBE level of DFT.

a = 3.1911 Å, b = 3.1911 Å, c = 35.8388 Å
α = 90.00°, β = 90.00°, γ = 120.00°
Positions (direct):
Mo 0.0000 0.0000 0.0000
Mo 0.0000 0.0000 0.3758
W 0.3333 0.6667 0.1879
W 0.3333 0.6667 0.5637
S 0.0000 0.0000 0.1440
S 0.0000 0.0000 0.2318
S 0.0000 0.0000 0.5198
S 0.0000 0.0000 0.6075
S 0.3333 0.6667 0.0437
S 0.3333 0.6667 0.3321
S 0.3333 0.6667 0.4194
S 0.3333 0.6667 0.9564

Space-group type: P3m1, No. 156
Formation energy from the elements: -1175.7 meV/atom

=====

- Which formula does entry 9 have?
  Zn2PO5

=====

- What is the formation energy from the elements in the eighth record?
  -1898.8 meV/atom